Material: TmB4Os
Method: DFT, PBE
State: relaxed

Properties
Symmetry: No. 55
DFT formation energy (meV/atom): -599
Calculated volume (Å³ per cell): 242

Geometry as CIF:
```
data_TmB4Os
_chemical_formula_sum 'Tm4 B16 Os4'
_symmetry_space_group_name_H-M 'P 1'
_symmetry_Int_Tables_number 1
_cell_length_a 5.9344
_cell_length_b 11.4763
_cell_length_c 3.5470
_cell_angle_alpha 90.00
_cell_angle_beta 90.00
_cell_angle_gamma 90.00
loop_
_symmetry_equiv_pos_as_xyz
'x,y,z'
loop_
_atom_site_label
_atom_site_type_symbol
_atom_site_fract_x
_atom_site_fract_y
_atom_site_fract_z
_atom_site_occupancy
Tm1 Tm 0.1287 0.1500 0.0000 1
Tm2 Tm 0.3713 0.6500 0.0000 1
Tm3 Tm 0.6287 0.3500 0.0000 1
Tm4 Tm 0.8713 0.8500 0.0000 1
B1 B 0.0243 0.6922 0.5000 1
B2 B 0.1131 0.5472 0.5000 1
B3 B 0.1353 0.9701 0.5000 1
B4 B 0.2092 0.8138 0.5000 1
B5 B 0.2908 0.3138 0.5000 1
B6 B 0.3647 0.4701 0.5000 1
B7 B 0.3869 0.0472 0.5000 1
B8 B 0.4757 0.1922 0.5000 1
B9 B 0.5243 0.8078 0.5000 1
B10 B 0.6131 0.9528 0.5000 1
B11 B 0.6353 0.5299 0.5000 1
B12 B 0.7092 0.6862 0.5000 1
B13 B 0.7908 0.1862 0.5000 1
B14 B 0.8647 0.0299 0.5000 1
B15 B 0.8869 0.4528 0.5000 1
B16 B 0.9757 0.3078 0.5000 1
Os1 Os 0.1421 0.4061 0.0000 1
Os2 Os 0.3579 0.9061 0.0000 1
Os3 Os 0.6421 0.0939 0.0000 1
Os4 Os 0.8579 0.5939 0.0000 1
```